1.
# Ba2ZnFe2CuF14 | the Materials Project database | PBE with a Hubbard U | optimized geometry
# energy relative to the elements	-2.9716	eV per atom
# total magnetic moment	11.001	μB/f.u.
data_Ba2ZnFe2CuF14
_symmetry_space_group_name_H-M 'C 1 2/c 1'
_symmetry_Int_Tables_number 15
_cell_length_a 14.028
_cell_length_b 5.294
_cell_length_c 14.704
_cell_angle_alpha 90.00
_cell_angle_beta 91.59
_cell_angle_gamma 90.00
loop_
_symmetry_equiv_pos_as_xyz
'x,y,z'
'-x,-y,-z'
'-x,y,-z+1/2'
'x,-y,z+1/2'
'x+1/2,y+1/2,z'
'-x+1/2,-y+1/2,-z'
'-x+1/2,y+1/2,-z+1/2'
'x+1/2,-y+1/2,z+1/2'
loop_
_atom_site_label
_atom_site_type_symbol
_atom_site_fract_x
_atom_site_fract_y
_atom_site_fract_z
_atom_site_occupancy
Ba1 Ba 0.187 0.076 0.124 1
Zn1 Zn 0.000 0.429 0.750 1
Fe1 Fe 0.118 0.024 0.374 1
Cu1 Cu 0.000 0.500 0.000 1
F1 F 0.008 0.101 0.661 1
F2 F 0.047 0.437 0.122 1
F3 F 0.081 0.201 0.485 1
F4 F 0.113 0.310 0.288 1
F5 F 0.138 0.271 0.956 1
F6 F 0.163 0.199 0.776 1
F7 F 0.248 0.400 0.598 1

2.
# Ba2MgCuMo2F14 | the Materials Project database | PBE with a Hubbard U | optimized geometry
# energy relative to the elements	-3.1819	eV per atom
# total magnetic moment	7.001	μB/f.u.
data_Ba2MgCuMo2F14
_symmetry_space_group_name_H-M 'P 1'
_symmetry_Int_Tables_number 1
_cell_length_a 5.305
_cell_length_b 7.676
_cell_length_c 15.215
_cell_angle_alpha 89.18
_cell_angle_beta 89.99
_cell_angle_gamma 69.88
loop_
_symmetry_equiv_pos_as_xyz
'x,y,z'
loop_
_atom_site_label
_atom_site_type_symbol
_atom_site_fract_x
_atom_site_fract_y
_atom_site_fract_z
_atom_site_occupancy
Ba1 Ba 0.000 0.000 0.000 1
Ba2 Ba 0.178 0.999 0.500 1
Ba3 Ba 0.635 0.727 0.253 1
Ba4 Ba 0.814 0.727 0.753 1
Mg1 Mg 0.345 0.363 0.126 1
Mg2 Mg 0.468 0.365 0.627 1
Cu1 Cu 0.406 0.363 0.376 1
Cu2 Cu 0.408 0.364 0.876 1
Mo1 Mo 0.000 0.126 0.250 1
Mo2 Mo 0.051 0.125 0.750 1
Mo3 Mo 0.763 0.602 0.003 1
Mo4 Mo 0.813 0.601 0.503 1
F1 F 0.021 0.385 0.210 1
F2 F 0.027 0.521 0.383 1
F3 F 0.041 0.853 0.280 1
F4 F 0.044 0.343 0.042 1
F5 F 0.045 0.655 0.919 1
F6 F 0.121 0.578 0.597 1
F7 F 0.185 0.206 0.869 1
F8 F 0.275 0.016 0.149 1
F9 F 0.283 0.852 0.780 1
F10 F 0.284 0.441 0.758 1
F11 F 0.334 0.073 0.333 1
F12 F 0.336 0.150 0.656 1
F13 F 0.361 0.287 0.495 1
F14 F 0.452 0.440 0.258 1
F15 F 0.478 0.577 0.097 1
F16 F 0.479 0.653 0.419 1
F17 F 0.530 0.875 0.973 1
F18 F 0.531 0.286 0.995 1
F19 F 0.538 0.708 0.604 1
F20 F 0.630 0.521 0.883 1
F21 F 0.692 0.150 0.156 1
F22 F 0.769 0.073 0.833 1
F23 F 0.770 0.385 0.710 1
F24 F 0.771 0.875 0.473 1
F25 F 0.786 0.206 0.369 1
F26 F 0.793 0.341 0.543 1
F27 F 0.887 0.015 0.648 1
F28 F 0.927 0.712 0.104 1

3.
# Ba2MgCuNi2F14 | the Materials Project database | PBE with a Hubbard U | optimized geometry
# energy relative to the elements	-2.8637	eV per atom
# total magnetic moment	4.557	μB/f.u.
data_Ba2MgCuNi2F14
_symmetry_space_group_name_H-M 'P 1'
_symmetry_Int_Tables_number 1
_cell_length_a 5.257
_cell_length_b 7.343
_cell_length_c 14.551
_cell_angle_alpha 91.59
_cell_angle_beta 90.18
_cell_angle_gamma 110.23
loop_
_symmetry_equiv_pos_as_xyz
'x,y,z'
loop_
_atom_site_label
_atom_site_type_symbol
_atom_site_fract_x
_atom_site_fract_y
_atom_site_fract_z
_atom_site_occupancy
Ba1 Ba 0.000 0.000 0.000 1
Ba2 Ba 0.132 0.004 0.503 1
Ba3 Ba 0.374 0.758 0.755 1
Ba4 Ba 0.507 0.759 0.246 1
Mg1 Mg 0.687 0.399 0.880 1
Mg2 Mg 0.825 0.382 0.377 1
Cu1 Cu 0.753 0.387 0.126 1
Cu2 Cu 0.754 0.382 0.626 1
Ni1 Ni 0.119 0.148 0.754 1
Ni2 Ni 0.153 0.150 0.253 1
Ni3 Ni 0.354 0.613 0.999 1
Ni4 Ni 0.389 0.616 0.499 1
F1 F 0.060 0.605 0.913 1
F2 F 0.089 0.889 0.222 1
F3 F 0.117 0.648 0.581 1
F4 F 0.123 0.541 0.113 1
F5 F 0.154 0.369 0.465 1
F6 F 0.171 0.398 0.288 1
F7 F 0.203 0.700 0.401 1
F8 F 0.302 0.058 0.849 1
F9 F 0.342 0.358 0.962 1
F10 F 0.356 0.394 0.785 1
F11 F 0.385 0.222 0.145 1
F12 F 0.392 0.117 0.670 1
F13 F 0.425 0.880 0.035 1
F14 F 0.439 0.159 0.335 1
F15 F 0.542 0.545 0.609 1
F16 F 0.591 0.877 0.528 1
F17 F 0.634 0.698 0.898 1
F18 F 0.652 0.282 0.502 1
F19 F 0.660 0.627 0.086 1
F20 F 0.664 0.604 0.416 1
F21 F 0.753 0.482 0.252 1
F22 F 0.760 0.282 0.004 1
F23 F 0.845 0.159 0.835 1
F24 F 0.853 0.125 0.170 1
F25 F 0.857 0.483 0.748 1
F26 F 0.885 0.067 0.350 1
F27 F 0.919 0.889 0.720 1
F28 F 0.967 0.221 0.641 1

4.
# Ba2Mn2ZnCuF14 | the Materials Project database | PBE with a Hubbard U | optimized geometry
# energy relative to the elements	-3.0242	eV per atom
# total magnetic moment	7.000	μB/f.u.
data_Ba2Mn2ZnCuF14
_symmetry_space_group_name_H-M 'C 1 2/c 1'
_symmetry_Int_Tables_number 15
_cell_length_a 13.871
_cell_length_b 5.368
_cell_length_c 14.819
_cell_angle_alpha 90.00
_cell_angle_beta 93.28
_cell_angle_gamma 90.00
loop_
_symmetry_equiv_pos_as_xyz
'x,y,z'
'-x,-y,-z'
'-x,y,-z+1/2'
'x,-y,z+1/2'
'x+1/2,y+1/2,z'
'-x+1/2,-y+1/2,-z'
'-x+1/2,y+1/2,-z+1/2'
'x+1/2,-y+1/2,z+1/2'
loop_
_atom_site_label
_atom_site_type_symbol
_atom_site_fract_x
_atom_site_fract_y
_atom_site_fract_z
_atom_site_occupancy
Ba1 Ba 0.188 0.073 0.126 1
Mn1 Mn 0.119 0.019 0.374 1
Zn1 Zn 0.000 0.435 0.750 1
Cu1 Cu 0.000 0.500 0.000 1
F1 F 0.004 0.092 0.661 1
F2 F 0.049 0.446 0.126 1
F3 F 0.080 0.209 0.489 1
F4 F 0.114 0.301 0.290 1
F5 F 0.141 0.268 0.955 1
F6 F 0.163 0.214 0.772 1
F7 F 0.248 0.099 0.405 1

5.
# Ba2CuMo2F14 | the Materials Project database | PBE with a Hubbard U | optimized geometry
# energy relative to the elements	-3.0628	eV per atom
# total magnetic moment	3.000	μB/f.u.
data_Ba2CuMo2F14
_symmetry_space_group_name_H-M 'C 1 2/c 1'
_symmetry_Int_Tables_number 15
_cell_length_a 14.688
_cell_length_b 5.401
_cell_length_c 15.688
_cell_angle_alpha 90.00
_cell_angle_beta 93.15
_cell_angle_gamma 90.00
loop_
_symmetry_equiv_pos_as_xyz
'x,y,z'
'-x,-y,-z'
'-x,y,-z+1/2'
'x,-y,z+1/2'
'x+1/2,y+1/2,z'
'-x+1/2,-y+1/2,-z'
'-x+1/2,y+1/2,-z+1/2'
'x+1/2,-y+1/2,z+1/2'
loop_
_atom_site_label
_atom_site_type_symbol
_atom_site_fract_x
_atom_site_fract_y
_atom_site_fract_z
_atom_site_occupancy
Ba1 Ba 0.177 0.074 0.128 1
Cu1 Cu 0.000 0.500 0.000 1
Mo1 Mo 0.123 0.026 0.372 1
F1 F 0.003 0.074 0.655 1
F2 F 0.062 0.426 0.102 1
F3 F 0.082 0.203 0.482 1
F4 F 0.127 0.298 0.291 1
F5 F 0.151 0.262 0.951 1
F6 F 0.179 0.178 0.779 1
F7 F 0.249 0.383 0.590 1

6.
# Ba2V2CuF12 | the Materials Project database | PBE with a Hubbard U | optimized geometry
# energy relative to the elements	-3.3259	eV per atom
# total magnetic moment	5.000	μB/f.u.
data_Ba2V2CuF12
_symmetry_space_group_name_H-M 'P 1'
_symmetry_Int_Tables_number 1
_cell_length_a 5.479
_cell_length_b 7.025
_cell_length_c 7.527
_cell_angle_alpha 65.50
_cell_angle_beta 70.33
_cell_angle_gamma 73.17
loop_
_symmetry_equiv_pos_as_xyz
'x,y,z'
loop_
_atom_site_label
_atom_site_type_symbol
_atom_site_fract_x
_atom_site_fract_y
_atom_site_fract_z
_atom_site_occupancy
Ba1 Ba 0.000 0.000 0.000 1
Ba2 Ba 0.418 0.594 0.524 1
V1 V 0.195 0.298 0.270 1
V2 V 0.756 0.577 0.928 1
Cu1 Cu 0.650 0.026 0.593 1
F1 F 0.091 0.407 0.005 1
F2 F 0.171 0.586 0.253 1
F3 F 0.236 0.016 0.268 1
F4 F 0.286 0.192 0.528 1
F5 F 0.452 0.742 0.821 1
F6 F 0.529 0.140 0.799 1
F7 F 0.580 0.316 0.108 1
F8 F 0.681 0.705 0.126 1
F9 F 0.725 0.893 0.405 1
F10 F 0.819 0.296 0.410 1
F11 F 0.880 0.449 0.725 1
F12 F 0.961 0.815 0.734 1

Look up the total magnetic moment of the fifth one.
3.000 μB/f.u.